Computed, not measured: a geometry-optimized Na30Ta8Zn16Si15S21O144 structure at the PBE level of DFT.

formation energy from the elements	-53024	kJ/mol of formula units
DFT total energy	-1486.07	eV per cell
energy with MP2020 corrections	-6.774	eV per atom
symmetry	P1

Cell lengths 18.0179, 9.0280, 22.2824 Å; angles 89.96, 89.60, 119.99 degrees
With the nearest neighbours (Å) after each atom.
Sites, in units of the cell vectors:
Na (0.8236, 0.0222, 0.2477)  4 O 2.29-2.54
Na (0.8254, 0.6256, 0.7489)  4 O 2.31-2.57
Na (0.0004, 0.0007, 0.9896)  3 O 2.41-2.44
Na (0.9778, 0.2887, 0.4196)  6 O 2.37-2.55
Na (0.1847, 0.0236, 0.7484)  3 O 2.29-2.55
Na (0.4781, 0.6665, 0.9172)  6 O 2.43-2.53
Na (0.3226, 0.6230, 0.7481)  4 O 2.29-2.54
Na (0.6864, 0.0239, 0.7483)  2 O 2.27-2.45
Na (0.1671, 0.6660, 0.1548)  3 O 2.40-2.43
Na (0.6667, 0.6541, 0.6556)  3 O 2.29-2.52
Na (0.1867, 0.3488, 0.2479)  3 O 2.27-2.53
Na (0.8349, 0.3362, 0.8300)  6 O 2.49-2.64
Na (0.4875, 0.6179, 0.2422)  3 O 2.32-2.47
Na (0.5137, 0.3472, 0.0847)  5 O 2.38-2.66
Na (0.6664, 0.6797, 0.1544)  3 O 2.27-2.52
Na (0.1660, 0.6535, 0.6562)  3 O 2.29-2.54
Na (0.4981, 0.9935, 0.9939)  6 O 2.47-2.69
Na (0.9877, 0.3549, 0.7440)  3 O 2.30-2.52
Na (0.4991, 0.0037, 0.4962)  6 O 2.51-2.63
Na (0.3286, 0.3343, 0.3294)  6 O 2.49-2.63
Na (0.5137, 0.6789, 0.5868)  4 O 2.38-2.60
Na (0.4873, 0.3551, 0.7433)  3 O 2.32-2.49
Na (0.4780, 0.2890, 0.4184)  6 O 2.40-2.56
Na (0.6853, 0.3487, 0.2478)  4 O 2.33-2.55
Na (0.3268, 0.3197, 0.8294)  6 O 2.49-2.65
Na (0.3232, 0.0238, 0.2468)  4 O 2.29-2.53
Na (0.9986, 0.0035, 0.4967)  6 O 2.51-2.61
Na (0.0135, 0.6789, 0.5876)  5 O 2.39-2.67
Na (0.9885, 0.6258, 0.2485)  4 O 2.33-2.55
Na (0.8267, 0.3327, 0.3310)  6 O 2.50-2.65
O (0.5188, 0.1987, 0.1941)  1 Si 1.67
O (0.0678, 0.4858, 0.8639)  1 S 1.56
O (0.6728, 0.4790, 0.0787)  1 S 1.49
O (0.9370, 0.5086, 0.4149)  1 S 1.48
O (0.0786, 0.9587, 0.1940)  1 Si 1.69
O (0.0199, 0.8356, 0.6906)  1 Si 1.68
O (0.7643, 0.8659, 0.0787)  1 S 1.48
O (0.7439, 0.3328, 0.7377)  1 Si 1.59
O (0.9779, 0.7897, 0.8086)  1 Si 1.58
O (0.5785, 0.5060, 0.5777)  1 Si 1.64
O (0.0702, 0.6605, 0.0782)  1 S 1.48
O (0.0893, 0.2088, 0.4137)  1 S 1.48
O (0.5123, 0.2012, 0.9130)  1 S 1.46
O (0.8148, 0.1232, 0.4152)  1 S 1.48
O (0.6133, 0.1710, 0.8103)  1 Si 1.59
O (0.3233, 0.5371, 0.6394)  1 S 1.47
O (0.4390, 0.3652, 0.6395)  1 Si 1.62
O (0.3319, 0.5128, 0.2430)  1 Si 1.60
O (0.4374, 0.5085, 0.4150)  1 S 1.48
O (0.9303, 0.3011, 0.5180)  1 Si 1.64
O (0.6759, 0.8686, 0.8615)  1 S 1.55
O (0.9004, 0.8410, 0.1937)  1 Si 1.68
O (0.9221, 0.5178, 0.7440)  1 Si 1.60
O (0.9193, 0.0290, 0.0883)  1 S 1.54
O (0.0118, 0.2067, 0.9146)  1 S 1.46
O (0.7604, 0.7014, 0.2584)  1 Si 1.68
O (0.4368, 0.3654, 0.9158)  1 S 1.48
O (0.7594, 0.8579, 0.3617)  1 S 1.55
O (0.8232, 0.5373, 0.6392)  1 S 1.47
O (0.8315, 0.1498, 0.7429)  1 Si 1.60
O (0.0787, 0.5060, 0.5777)  1 Si 1.64
O (0.2598, 0.8170, 0.7602)  1 Si 1.68
O (0.5896, 0.2086, 0.4144)  1 S 1.47
O (0.5952, 0.1728, 0.0873)  1 S 1.54
O (0.2629, 0.8522, 0.4711)  1 S 1.45
O (0.7479, 0.3650, 0.4185)  1 S 1.47
O (0.3994, 0.9604, 0.6954)  1 Si 1.69
O (0.7642, 0.6693, 0.5771)  1 S 1.47
O (0.4829, 0.7838, 0.8149)  1 Si 1.60
O (0.5901, 0.9722, 0.9141)  1 S 1.47
O (0.8147, 0.5039, 0.9196)  1 S 1.48
O (0.8489, 0.1477, 0.0303)  1 S 1.47
O (0.0710, 0.6556, 0.3631)  1 S 1.57
O (0.9006, 0.9616, 0.6955)  1 Si 1.69, 1 Ta 1.89
O (0.1111, 0.0549, 0.3084)  1 Si 1.59
O (0.4302, 0.3009, 0.5183)  1 Si 1.64
O (0.4149, 0.0490, 0.8101)  1 Si 1.58
O (0.0701, 0.4622, 0.9727)  1 S 1.47
O (0.6599, 0.4653, 0.4694)  1 S 1.46
O (0.2591, 0.6582, 0.8626)  1 S 1.54
O (0.8339, 0.5141, 0.2400)  1 Si 1.60
O (0.9231, 0.3294, 0.2414)  1 Si 1.60
O (0.2605, 0.7045, 0.2584)  1 Si 1.69
O (0.6599, 0.8561, 0.9701)  1 S 1.47
O (0.5686, 0.6820, 0.4723)  1 S 1.47
O (0.3209, 0.1039, 0.1399)  1 S 1.48
O (0.5682, 0.4539, 0.9731)  1 S 1.47
O (0.4198, 0.8046, 0.5878)  1 S 1.54
O (0.8949, 0.8174, 0.9157)  1 S 1.45
O (0.7292, 0.1163, 0.6389)  1 S 1.46
O (0.2585, 0.8575, 0.3620)  1 S 1.56
O (0.5719, 0.6558, 0.3637)  1 S 1.57
O (0.0792, 0.2002, 0.6964)  1 Si 1.69, 1 Ta 1.89
O (0.2476, 0.3653, 0.4181)  1 S 1.47
O (0.4918, 0.8255, 0.0907)  1 Si 1.71
O (0.3457, 0.1428, 0.0310)  1 S 1.48
O (0.9292, 0.5520, 0.0306)  1 S 1.47
O (0.6126, 0.0544, 0.3108)  1 Si 1.58
O (0.9895, 0.8105, 0.0884)  1 S 1.54
O (0.6709, 0.8626, 0.5783)  1 S 1.49
O (0.5907, 0.6988, 0.7603)  1 Si 1.70
O (0.8961, 0.9743, 0.4159)  1 S 1.47
O (0.1593, 0.4647, 0.4692)  1 S 1.46
O (0.4917, 0.1568, 0.5910)  1 Si 1.70
O (0.5919, 0.0106, 0.5877)  1 S 1.53
O (0.5796, 0.9592, 0.1962)  1 Si 1.68
O (0.2207, 0.3035, 0.0299)  1 S 1.47
O (0.0684, 0.6817, 0.4719)  1 S 1.46
O (0.2293, 0.1165, 0.6387)  1 S 1.46
O (0.3160, 0.5053, 0.9153)  1 S 1.49
O (0.7480, 0.1312, 0.9182)  1 S 1.47
O (0.9783, 0.1816, 0.3154)  1 Si 1.60
O (0.5782, 0.6497, 0.0772)  1 Si 1.64
O (0.7271, 0.3052, 0.0302)  1 S 1.47
O (0.0190, 0.1922, 0.1980)  1 Si 1.68
O (0.9193, 0.8048, 0.5872)  1 S 1.54
O (0.2286, 0.3486, 0.1393)  1 S 1.47
O (0.3307, 0.1498, 0.7429)  1 Si 1.60
O (0.7210, 0.1427, 0.5292)  1 S 1.48
O (0.4829, 0.1816, 0.3147)  1 Si 1.60
O (0.1745, 0.8639, 0.8632)  1 S 1.57
O (0.9350, 0.3675, 0.9193)  1 S 1.49
O (0.7638, 0.6756, 0.9727)  1 S 1.47
O (0.1499, 0.4801, 0.7609)  1 Si 1.69
O (0.5792, 0.2000, 0.6963)  1 Si 1.69
O (0.1752, 0.4832, 0.3606)  1 S 1.57
O (0.1496, 0.8208, 0.2594)  1 Si 1.69
O (0.2219, 0.1432, 0.5290)  1 S 1.48
O (0.7572, 0.6519, 0.8636)  1 S 1.57
O (0.7632, 0.8529, 0.4710)  1 S 1.46
O (0.2432, 0.3324, 0.7380)  1 Si 1.60
O (0.0901, 0.7009, 0.7597)  1 Si 1.71
O (0.7434, 0.1539, 0.2399)  1 Si 1.60
O (0.4284, 0.5536, 0.0191)  1 Si 1.63
O (0.3973, 0.8160, 0.9151)  1 S 1.47
O (0.1711, 0.8630, 0.5781)  1 S 1.48
O (0.6505, 0.4794, 0.7602)  1 Si 1.69
O (0.4143, 0.7816, 0.3104)  1 Si 1.58
O (0.4213, 0.5191, 0.7455)  1 Si 1.60
O (0.9436, 0.5384, 0.1399)  1 S 1.48
O (0.0924, 0.1697, 0.0890)  1 S 1.54
O (0.9164, 0.0519, 0.8106)  1 Si 1.58
O (0.2666, 0.6750, 0.9718)  1 S 1.46
O (0.0908, 0.4805, 0.2592)  1 Si 1.69
O (0.1607, 0.8567, 0.9725)  1 S 1.47
O (0.3957, 0.9745, 0.4161)  1 S 1.47
O (0.2429, 0.1550, 0.2372)  1 Si 1.60
O (0.6756, 0.4822, 0.3608)  1 S 1.57
O (0.5127, 0.8235, 0.4124)  1 S 1.46
O (0.2605, 0.8554, 0.0771)  1 S 1.48
O (0.3143, 0.1228, 0.4154)  1 S 1.48
O (0.8474, 0.5494, 0.5301)  1 S 1.49
O (0.7615, 0.8170, 0.7602)  1 Si 1.69
O (0.4007, 0.8386, 0.1951)  1 Si 1.68
O (0.2646, 0.6699, 0.5772)  1 S 1.47
O (0.9921, 0.1566, 0.5901)  1 Si 1.70
O (0.4401, 0.5137, 0.1403)  1 Si 1.62
O (0.7316, 0.3436, 0.1396)  1 S 1.48
O (0.5901, 0.4813, 0.2594)  1 Si 1.71
O (0.3478, 0.5501, 0.5302)  1 S 1.49
O (0.6507, 0.8208, 0.2598)  1 Si 1.69
O (0.2484, 0.1279, 0.9193)  1 S 1.48
O (0.5191, 0.8388, 0.6948)  1 Si 1.67
O (0.9390, 0.3641, 0.6391)  1 Si 1.62
O (0.1130, 0.1717, 0.8110)  1 Si 1.58
O (0.1681, 0.4801, 0.0780)  1 S 1.48
O (0.4168, 0.0284, 0.0878)  1 S 1.54
O (0.8276, 0.1173, 0.1399)  1 S 1.48
O (0.9152, 0.7804, 0.3086)  1 Si 1.59
O (0.5710, 0.4868, 0.8645)  1 S 1.56
O (0.0125, 0.8239, 0.4121)  1 S 1.46
O (0.0925, 0.0126, 0.5868)  1 S 1.53
O (0.4206, 0.3220, 0.2453)  1 Si 1.60
O (0.0910, 0.9746, 0.9150)  1 S 1.46
Zn (0.8396, 0.3340, 0.6851)  4 O 1.95-2.07
Zn (0.5016, 0.0066, 0.8392)  3 O 1.90-1.94
Zn (0.6651, 0.6556, 0.5187)  5 O 1.96-2.17
Zn (0.8349, 0.3244, 0.4941)  3 O 1.91-2.09
Zn (0.6661, 0.6761, 0.0185)  4 O 1.97-2.16
Zn (0.1651, 0.6651, 0.0144)  6 O 2.00-2.22
Zn (0.5010, 0.9962, 0.3399)  3 O 1.90-1.94
Zn (0.0016, 0.0040, 0.8415)  3 O 1.91-1.93
Zn (0.8362, 0.3383, 0.9826)  6 O 2.11-2.27
Zn (0.8345, 0.3336, 0.1853)  6 O 2.03-2.16
Zn (0.3330, 0.3431, 0.9905)  3 O 1.93-2.13
Zn (0.3392, 0.3441, 0.1844)  4 O 1.95-2.09
Zn (0.3392, 0.3346, 0.6853)  4 O 1.96-2.08
Zn (0.1649, 0.6554, 0.5189)  5 O 1.96-2.18
Zn (0.3351, 0.3248, 0.4937)  3 O 1.91-2.10
Zn (0.0001, 0.9971, 0.3397)  3 O 1.92-1.97
Si (0.9832, 0.3340, 0.5807)  4 O 1.62-1.70
Si (0.4990, 0.2872, 0.2535)  4 O 1.60-1.71
Si (0.3544, 0.7059, 0.2538)  4 O 1.58-1.69
Si (0.4996, 0.7101, 0.7541)  4 O 1.60-1.70
Si (0.9985, 0.7110, 0.7518)  4 O 1.58-1.71
Si (0.9992, 0.2909, 0.2548)  4 O 1.60-1.69
Si (0.3533, 0.0020, 0.7543)  4 O 1.58-1.69
Si (0.6489, 0.2918, 0.7531)  4 O 1.59-1.69
Si (0.8545, 0.7059, 0.2521)  4 O 1.59-1.68
Si (0.8551, 0.0036, 0.7548)  4 O 1.58-1.69
Si (0.1481, 0.2922, 0.7538)  4 O 1.58-1.69
Si (0.6475, 0.0037, 0.2536)  4 O 1.58-1.69
Si (0.1475, 0.0051, 0.2515)  4 O 1.59-1.69
Si (0.4831, 0.3345, 0.5809)  4 O 1.62-1.70
Si (0.4824, 0.6293, 0.0805)  4 O 1.62-1.71
S (0.8375, 0.0418, 0.0833)  4 O 1.47-1.54
S (0.8098, 0.9544, 0.4186)  4 O 1.46-1.55
S (0.3351, 0.6337, 0.5836)  4 O 1.47-1.54
S (0.5199, 0.3692, 0.9186)  4 O 1.46-1.56
S (0.5203, 0.6705, 0.4182)  4 O 1.46-1.57
S (0.0199, 0.6704, 0.4180)  4 O 1.46-1.57
S (0.6858, 0.3296, 0.0832)  4 O 1.47-1.54
S (0.1680, 0.9612, 0.9197)  4 O 1.46-1.57
S (0.8110, 0.6645, 0.9204)  4 O 1.45-1.57
S (0.1830, 0.0375, 0.5835)  4 O 1.46-1.53
S (0.8350, 0.6337, 0.5835)  4 O 1.47-1.54
S (0.6693, 0.9633, 0.9178)  4 O 1.47-1.55
S (0.1689, 0.3756, 0.4178)  4 O 1.46-1.57
S (0.3095, 0.9542, 0.4191)  4 O 1.45-1.56
S (0.6692, 0.3752, 0.4180)  4 O 1.46-1.57
S (0.0191, 0.3742, 0.9198)  4 O 1.46-1.56
S (0.1815, 0.3315, 0.0836)  4 O 1.47-1.54
S (0.6828, 0.0371, 0.5838)  4 O 1.46-1.53
S (0.3108, 0.6644, 0.9181)  4 O 1.46-1.54
S (0.3324, 0.0322, 0.0835)  4 O 1.48-1.54
S (0.9822, 0.6337, 0.0833)  4 O 1.47-1.54
Ta (0.1646, 0.6676, 0.8122)  6 O 1.92-2.08
Ta (0.9998, 0.0122, 0.6505)  4 O 1.89-2.01
Ta (0.4993, 0.0114, 0.6507)  4 O 1.89-2.02
Ta (0.6668, 0.6657, 0.3109)  6 O 1.93-2.06
Ta (0.1676, 0.6682, 0.3111)  6 O 1.93-2.06
Ta (0.4997, 0.9871, 0.1495)  4 O 1.90-2.03
Ta (0.0003, 0.0004, 0.1502)  6 O 1.91-2.13
Ta (0.6679, 0.6658, 0.8118)  6 O 1.92-2.08